i.
# Y14MgRe2O28, relaxed, DFT PBE
data_Y14MgRe2O28
_chemical_formula_sum 'Y14 Mg1 Re2 O28'
_cell_length_a 7.663
_cell_length_b 7.627
_cell_length_c 10.724
_cell_angle_alpha 90.00
_cell_angle_beta 90.09
_cell_angle_gamma 90.00
_symmetry_space_group_name_H-M 'P 1 m 1'
_symmetry_Int_Tables_number 6
_symmetry_space_group_name_Hall 'P -2y'
loop_
_atom_site_label
_atom_site_type_symbol
_atom_site_fract_x
_atom_site_fract_y
_atom_site_fract_z
Y1 Y 0.000 0.000 0.000
Y2 Y 0.005 0.500 0.997
Y3 Y 0.240 0.227 0.747
Y4 Y 0.280 0.260 0.244
Y5 Y 0.492 0.500 0.528
Y6 Y 0.499 0.000 0.008
Y7 Y 0.502 0.000 0.518
Y8 Y 0.737 0.264 0.778
Y9 Y 0.743 0.222 0.276
Y10 Y 0.987 0.500 0.539
Mg1 Mg 0.998 0.500 0.268
Re1 Re 0.005 0.000 0.508
Re2 Re 0.498 0.500 0.010
O1 O 0.009 0.258 0.882
O2 O 0.065 0.177 0.395
O3 O 0.209 0.500 0.366
O4 O 0.228 0.000 0.599
O5 O 0.233 0.500 0.650
O6 O 0.266 0.000 0.143
O7 O 0.266 0.000 0.876
O8 O 0.272 0.500 0.095
O9 O 0.445 0.313 0.899
O10 O 0.487 0.236 0.385
O11 O 0.508 0.229 0.649
O12 O 0.548 0.309 0.129
O13 O 0.725 0.000 0.875
O14 O 0.728 0.500 0.927
O15 O 0.745 0.000 0.143
O16 O 0.747 0.500 0.650
O17 O 0.770 0.000 0.427
O18 O 0.795 0.500 0.374
O19 O 0.947 0.195 0.624
O20 O 0.982 0.301 0.158
# Crystal system: monoclinic

ii.
# Y14MgRe2O28, relaxed, DFT PBE
data_Y14MgRe2O28
_chemical_formula_sum 'Y14 Mg1 Re2 O28'
_cell_length_a 7.659
_cell_length_b 7.661
_cell_length_c 10.722
_cell_angle_alpha 89.94
_cell_angle_beta 89.85
_cell_angle_gamma 89.64
_symmetry_space_group_name_H-M 'P 1'
_symmetry_Int_Tables_number 1
_symmetry_space_group_name_Hall 'P 1'
loop_
_atom_site_label
_atom_site_type_symbol
_atom_site_fract_x
_atom_site_fract_y
_atom_site_fract_z
Y1 Y 0.000 0.000 0.000
Y2 Y 0.001 0.962 0.489
Y3 Y 0.007 0.513 0.994
Y4 Y 0.227 0.767 0.752
Y5 Y 0.235 0.267 0.266
Y6 Y 0.261 0.729 0.239
Y7 Y 0.266 0.240 0.766
Y8 Y 0.453 0.503 0.507
Y9 Y 0.462 0.962 0.493
Y10 Y 0.496 0.505 0.995
Y11 Y 0.732 0.253 0.773
Y12 Y 0.735 0.767 0.228
Y13 Y 0.750 0.234 0.226
Y14 Y 0.765 0.741 0.729
Mg1 Mg 0.720 0.225 0.501
Re1 Re 0.000 0.504 0.498
Re2 Re 0.501 0.005 0.998
O1 O 0.013 0.769 0.133
O2 O 0.015 0.722 0.608
O3 O 0.016 0.218 0.142
O4 O 0.167 0.423 0.607
O5 O 0.216 0.519 0.384
O6 O 0.224 0.014 0.627
O7 O 0.234 0.986 0.358
O8 O 0.265 0.485 0.125
O9 O 0.267 0.520 0.860
O10 O 0.282 0.978 0.907
O11 O 0.426 0.136 0.130
O12 O 0.476 0.784 0.086
O13 O 0.486 0.739 0.634
O14 O 0.505 0.258 0.631
O15 O 0.506 0.238 0.906
O16 O 0.508 0.724 0.365
O17 O 0.534 0.294 0.374
O18 O 0.639 0.936 0.866
O19 O 0.721 0.522 0.857
O20 O 0.733 0.011 0.091
O21 O 0.733 0.495 0.130
O22 O 0.748 0.004 0.369
O23 O 0.787 0.460 0.590
O24 O 0.796 0.040 0.626
O25 O 0.912 0.663 0.387
O26 O 0.958 0.284 0.412
O27 O 0.984 0.770 0.868
O28 O 0.995 0.240 0.868
# Crystal system: triclinic

Structures ranked by computed energy, the most stable listed first: ii, i.